(1)
DFT (PBE) results for an optimized crystal structure of LiSnP3O9.

Unit cell a=9.352 b=7.942 c=12.962 alpha=90.00 beta=90.00 gamma=90.00
Space group Pnma (No. 62)
Inequivalent atoms, fractional coordinates:
Li1 0.012 0.250 0.059
Sn1 0.027 0.750 0.217
P1 0.205 0.250 0.528
P2 0.239 0.563 0.848
O1 0.109 0.250 0.619
O2 0.116 0.052 0.878
O3 0.134 0.750 0.046
O4 0.162 0.750 0.833
O5 0.166 0.024 0.259
O6 0.167 0.094 0.452

=====

(2)
DFT (PBE) results for an optimized crystal structure of LiTiSnP3O12.

Unit cell a=8.6907 b=8.6907 c=21.4894 alpha=90.00 beta=90.00 gamma=120.00
Space group R3c (No. 161, hexagonal axes)
Inequivalent atoms, fractional coordinates:
Li1 0.0000 0.0000 0.0000
Ti1 0.0000 0.0000 0.3596
Sn1 0.0000 0.0000 0.1446
P1 0.0416 0.3725 0.4190
O1 0.0048 0.2009 0.6923
O2 0.0218 0.1854 0.4204
O3 0.1490 0.4763 0.4771
O4 0.1657 0.4783 0.7486

=====

(3)
DFT (PBE) results for an optimized crystal structure of Li2Ti3SnP6O24.

Unit cell a=8.6572 b=8.6572 c=21.3062 alpha=90.00 beta=90.00 gamma=120.00
Space group R3 (No. 146, hexagonal axes)
Inequivalent atoms, fractional coordinates:
Li1 0.0000 0.0000 0.0000
Li2 0.0000 0.0000 0.4976
Ti1 0.0000 0.0000 0.1393
Ti2 0.0000 0.0000 0.3551
Ti3 0.0000 0.0000 0.6396
Sn1 0.0000 0.0000 0.8555
P1 0.0003 0.2939 0.7465
P2 0.0027 0.7121 0.2478
O1 0.0056 0.8154 0.1881
O2 0.0068 0.1902 0.6884
O3 0.0187 0.1852 0.4137
O4 0.0247 0.8333 0.9191
O5 0.1376 0.4614 0.4741
O6 0.1478 0.6681 0.9731
O7 0.1693 0.4812 0.7446
O8 0.1704 0.6922 0.2457

=====

(4)
DFT (PBE) results for an optimized crystal structure of LiTbP4O12.

Unit cell a=16.482 b=7.135 c=9.732 alpha=90.00 beta=126.10 gamma=90.00
Space group C2/c (No. 15)
Inequivalent atoms, fractional coordinates:
Li1 0.000 0.206 0.250
Tb1 0.000 0.296 0.750
P1 0.137 0.052 0.616
P2 0.146 0.349 0.194
O1 0.067 0.004 0.429
O2 0.072 0.416 0.228
O3 0.112 0.212 0.683
O4 0.125 0.384 0.025
O5 0.156 0.126 0.232
O6 0.245 0.080 0.652

=====

(5)
DFT (PBE) results for an optimized crystal structure of LiTi2P3O12.

## Properties
**Relative energy among the computed polymorphs**: 0 meV per atom

Unit cell a=8.6227 b=8.6227 c=21.0816 alpha=90.00 beta=90.00 gamma=120.00
Space group R-3c (No. 167, hexagonal axes)
Inequivalent atoms, fractional coordinates:
Li1 0.0000 0.0000 0.0000
Ti1 0.0000 0.0000 0.1415
P1 0.0000 0.2905 0.2500
O1 0.0027 0.1883 0.1903
O2 0.0239 0.1885 0.9196

=====

(6)
DFT (PBE) results for an optimized crystal structure of LiTiPO4.

Unit cell a=10.594 b=6.150 c=4.745 alpha=90.00 beta=90.00 gamma=90.00
Space group Pnma (No. 62)
Inequivalent atoms, fractional coordinates:
Li1 0.000 0.000 0.000
Ti1 0.221 0.250 0.480
P1 0.094 0.750 0.421
O1 0.041 0.250 0.706
O2 0.094 0.750 0.744
O3 0.165 0.550 0.288

=====

| no. | energy of formation from the pure elements (eV/atom) |
| --- | --- |
| 1 | -2.45 |
| 2 | -2.77 |
| 3 | -2.89 |
| 4 | -2.93 |
| 5 | -3.02 |
| 6 | -2.64 |